[1]
Entry from the Materials Project: a geometry-optimized SrEuCoO4 structure (GGA+U).

**Total energy**: -51.83 eV per cell
**Spin magnetization**: 8.00 Bohr magnetons per cell
**Calculated volume**: 12.81 Å³/atom
**ρ**: 6.71 Mg/m³

Lattice parameters (Å, degrees): 6.734 6.734 6.734 147.12 147.12 47.19
Atoms (fractional coordinates):
Sr 0.644 0.644 0.000
Eu 0.359 0.359 0.000
Co 0.003 0.003 0.000
O 0.841 0.841 0.000
O 0.167 0.167 0.000
O 0.493 0.993 0.500
O 0.993 0.493 0.500

---

[2]
Entry from the Materials Project: a geometry-optimized Ti2MnZnO6 structure (GGA+U).

**Total energy**: -315.30 eV per cell
**Spin magnetization**: 0.00 Bohr magnetons per cell
**Calculated volume**: 10.95 Å³/atom
**ρ**: 4.73 Mg/m³

Lattice parameters (Å, degrees): 5.610 10.315 7.621 90.00 83.46 90.02
Atoms (fractional coordinates):
Ti 0.707 0.000 0.854
Ti 0.207 0.250 0.354
Ti 0.707 0.500 0.854
Ti 0.207 0.750 0.354
Ti 0.293 0.500 0.146
Ti 0.793 0.750 0.646
Ti 0.293 0.000 0.146
Ti 0.793 0.250 0.646
Mn 0.782 0.750 0.141
Mn 0.282 0.000 0.641
Mn 0.782 0.250 0.141
Mn 0.282 0.500 0.641
Zn 0.224 0.250 0.862
Zn 0.724 0.500 0.362
Zn 0.224 0.750 0.862
Zn 0.724 0.000 0.362
O 0.350 0.069 0.915
O 0.850 0.319 0.415
O 0.350 0.569 0.915
O 0.850 0.819 0.415
O 0.159 0.335 0.106
O 0.659 0.585 0.606
O 0.159 0.835 0.106
O 0.659 0.085 0.606
O 0.520 0.346 0.744
O 0.020 0.596 0.244
O 0.520 0.846 0.744
O 0.020 0.096 0.244
O 0.648 0.436 0.085
O 0.148 0.686 0.585
O 0.648 0.936 0.085
O 0.148 0.186 0.585
O 0.846 0.163 0.887
O 0.346 0.413 0.387
O 0.846 0.663 0.887
O 0.346 0.913 0.387
O 0.473 0.151 0.260
O 0.973 0.401 0.760
O 0.473 0.651 0.260
O 0.973 0.901 0.760

---

[3]
Entry from the Materials Project: a geometry-optimized Li4Mn3VO8 structure (GGA+U).

**Total energy**: -105.98 eV per cell
**Spin magnetization**: 12.16 Bohr magnetons per cell
**Calculated volume**: 9.61 Å³/atom
**ρ**: 4.01 Mg/m³

Lattice parameters (Å, degrees): 6.010 6.010 6.010 60.05 60.05 60.05
Atoms (fractional coordinates):
Li 0.500 0.500 0.500
Li 0.500 0.000 0.000
Li 0.000 0.500 0.000
Li 0.000 0.000 0.500
Mn 0.000 0.500 0.500
Mn 0.500 0.000 0.500
Mn 0.500 0.500 0.000
V 0.000 0.000 0.000
O 0.261 0.261 0.261
O 0.258 0.733 0.782
O 0.782 0.258 0.733
O 0.739 0.739 0.739
O 0.733 0.782 0.258
O 0.742 0.267 0.218
O 0.218 0.742 0.267
O 0.267 0.218 0.742